A relaxed LaZnFeSnO6 crystal. Source: the Materials Project database, functional PBE with a Hubbard U.

Results
* E: -0.2388 Ha/atom
* total energy after the MP2020 corrections: -7.136 eV per atom
* crystal system: monoclinic
* energy relative to the elements: -2.2999 eV/atom
* relative energy among the computed polymorphs: 0 meV per atom

```
LaZnFeSnO6
1.0
-4.0065 -3.6524 -1.6041
3.7397 -2.9375 -2.6521
4.9694 -7.1870 3.9521
O Sn Fe Zn La
12 2 2 2 2
direct
0.0382 0.2203 0.5593 O
0.5579 0.1234 0.5640 O
0.9834 0.8502 0.4304 O
0.2785 0.3941 0.2507 O
0.2031 0.6571 0.7469 O
0.4421 0.1234 0.0640 O
0.7215 0.3941 0.7507 O
0.5524 0.7550 0.9382 O
0.4476 0.7550 0.4382 O
0.9618 0.2203 0.0593 O
0.7969 0.6571 0.2469 O
0.0166 0.8502 0.9304 O
0.2421 0.4993 0.0021 Sn
0.7579 0.4993 0.5021 Sn
0.7551 0.9976 0.0020 Fe
0.2449 0.9976 0.5020 Fe
0.2184 0.7665 0.2558 Zn
0.7816 0.7665 0.7558 Zn
0.7092 0.2364 0.2506 La
0.2908 0.2364 0.7506 La
```

***

A relaxed Li2CrFe3O8 crystal. Source: the Materials Project database, functional PBE with a Hubbard U.

Results
* E: -0.2345 Ha/atom
* total energy after the MP2020 corrections: -7.400 eV per atom
* crystal system: monoclinic
* energy relative to the elements: -1.7955 eV/atom
* relative energy among the computed polymorphs: 24 meV per atom

```
Li2CrFe3O8
1.0
5.8902 -0.0230 0.0015
-2.9651 5.1357 -0.0031
0.0024 -0.0042 9.5996
Cr O Fe Li
2 16 6 4
direct
0.3282 0.6641 0.4847 Cr
0.6718 0.3359 0.9847 Cr
0.6668 0.3343 0.6025 O
0.1585 0.3272 0.6015 O
0.4744 0.9575 0.3417 O
0.1603 0.8334 0.6009 O
0.5277 0.0425 0.8412 O
0.3332 0.6675 0.1025 O
0.9625 0.4808 0.8410 O
0.4723 0.5148 0.3412 O
0.6681 0.8345 0.5990 O
0.8415 0.1687 0.1015 O
0.0375 0.5183 0.3410 O
0.9991 0.9984 0.8102 O
0.5256 0.4831 0.8417 O
0.8397 0.6731 0.1009 O
0.0009 0.9993 0.3102 O
0.3319 0.1664 0.0990 O
0.6626 0.8314 0.2131 Fe
0.8306 0.6618 0.7129 Fe
0.8312 0.1694 0.7134 Fe
0.1694 0.8312 0.2129 Fe
0.1688 0.3383 0.2134 Fe
0.3374 0.1689 0.7131 Fe
0.3360 0.6680 0.8944 Li
0.9995 0.9995 0.4974 Li
0.0005 0.0000 0.9974 Li
0.6640 0.3319 0.3944 Li
```

***

A relaxed ZnCoBiO5 crystal. Source: the Materials Project database, functional PBE with a Hubbard U.

Results
* E: -0.1956 Ha/atom
* total energy after the MP2020 corrections: -5.957 eV per atom
* crystal system: monoclinic
* energy relative to the elements: -1.3319 eV/atom
* relative energy among the computed polymorphs: 0 meV per atom

```
ZnCoBiO5
1.0
-5.3757 8.1740 -4.0672
-2.9237 0.2905 4.4480
3.6466 5.1413 5.5130
O Co Zn Bi
20 4 4 4
direct
0.0355 0.3053 0.6842 O
0.5355 0.6947 0.8158 O
0.0571 0.1673 0.3369 O
0.9429 0.8327 0.6631 O
0.2182 0.3039 0.9953 O
0.2960 0.8287 0.1785 O
0.7818 0.6961 0.0047 O
0.4429 0.1673 0.8369 O
0.7960 0.1713 0.3215 O
0.9569 0.2446 0.0094 O
0.2040 0.8287 0.6785 O
0.7182 0.6961 0.5047 O
0.4569 0.7554 0.4906 O
0.9645 0.6947 0.3158 O
0.5431 0.2446 0.5094 O
0.4645 0.3053 0.1842 O
0.7040 0.1713 0.8215 O
0.2818 0.3039 0.4953 O
0.5571 0.8327 0.1631 O
0.0431 0.7554 0.9906 O
0.6204 0.8482 0.9536 Co
0.3796 0.1518 0.0464 Co
0.8796 0.8482 0.4536 Co
0.1204 0.1518 0.5464 Co
0.9087 0.4608 0.1745 Zn
0.0913 0.5392 0.8255 Zn
0.5913 0.4608 0.6745 Zn
0.4087 0.5392 0.3255 Zn
0.3947 0.9718 0.6569 Bi
0.1053 0.9718 0.1569 Bi
0.6053 0.0282 0.3431 Bi
0.8947 0.0282 0.8431 Bi
```

***

A relaxed La2MgZnMoO6 crystal. Source: the Materials Project database, functional PBE with a Hubbard U.

Results
* E: -0.2487 Ha/atom
* total energy after the MP2020 corrections: -7.433 eV per atom
* crystal system: triclinic
* energy relative to the elements: -2.5904 eV/atom
* relative energy among the computed polymorphs: 26 meV per atom

```
La2MgZnMoO6
1.0
-0.3260 -5.9685 2.7587
4.5901 -4.7521 -0.2341
3.6517 -2.2634 5.0219
O Mo La Mg Zn
6 1 2 1 1
direct
0.7955 0.1014 0.3725 O
0.9049 0.6463 0.2296 O
0.6497 0.2295 0.9006 O
0.3723 0.7985 0.1067 O
0.1017 0.3725 0.7976 O
0.2339 0.9008 0.6480 O
0.0108 0.0084 0.0095 Mo
0.8116 0.8103 0.8098 La
0.2146 0.2105 0.2126 La
0.6000 0.5951 0.5952 Mg
0.4359 0.4339 0.4370 Zn
```